DFT (PBE-GGA) results for a geometry-optimized Ti17N6O24 structure.

a = 10.3999 Å, b = 10.7106 Å, c = 11.2994 Å
α = 87.54°, β = 62.61°, γ = 84.74°
Fractional positions:
Ti  0.2430  0.8771  0.9220
Ti  0.9322  0.7873  0.0734
Ti  0.7335  0.8785  0.9300
Ti  0.7468  0.7873  0.4451
Ti  0.1223  0.8995  0.2497
Ti  0.9121  0.8787  0.5709
Ti  0.4052  0.5526  0.9236
Ti  0.5768  0.5512  0.5774
Ti  0.4423  0.7885  0.0551
Ti  0.2555  0.7889  0.4264
Ti  0.4164  0.8765  0.5767
Ti  0.6251  0.8964  0.2505
Ti  0.7873  0.5657  0.2509
Ti  0.0445  0.7687  0.7498
Ti  0.2889  0.5693  0.2493
Ti  0.9192  0.4523  0.4281
Ti  0.0808  0.5477  0.5719
Ti  0.7111  0.4307  0.7507
Ti  0.0993  0.4532  0.0720
Ti  0.9007  0.5468  0.9280
Ti  0.7445  0.2111  0.5736
Ti  0.9555  0.2313  0.2502
Ti  0.3749  0.1036  0.7495
Ti  0.5836  0.1235  0.4233
Ti  0.5948  0.4474  0.0764
Ti  0.4232  0.4488  0.4226
Ti  0.5577  0.2115  0.9449
Ti  0.2127  0.4343  0.7491
Ti  0.0879  0.1213  0.4291
Ti  0.2665  0.1215  0.0700
Ti  0.2532  0.2127  0.5549
Ti  0.8777  0.1005  0.7503
Ti  0.0678  0.2127  0.9266
Ti  0.7570  0.1229  0.0780
N  0.3860  0.9196  0.7493
N  0.7676  0.7561  0.2502
N  0.9024  0.9120  0.7504
N  0.2676  0.7571  0.2499
N  0.5649  0.5593  0.7504
N  0.9316  0.4238  0.2501
N  0.0684  0.5762  0.7499
N  0.7324  0.2429  0.7501
N  0.4351  0.4407  0.2496
N  0.0976  0.0880  0.2496
N  0.2324  0.2439  0.7498
N  0.6140  0.0804  0.2507
O  0.6228  0.9353  0.4391
O  0.7421  0.8188  0.6102
O  0.5385  0.7246  0.5505
O  0.9353  0.8500  0.3778
O  0.3116  0.9363  0.0620
O  0.0618  0.8513  0.1198
O  0.3385  0.7257  0.9492
O  0.1279  0.9371  0.4336
O  0.6026  0.8187  0.8901
O  0.3985  0.4872  0.6203
O  0.2678  0.4846  0.8823
O  0.9777  0.6044  0.0649
O  0.5631  0.8496  0.1222
O  0.0404  0.7295  0.5645
O  0.8553  0.7286  0.9360
O  0.1026  0.8165  0.8814
O  0.7907  0.6042  0.4373
O  0.8123  0.9359  0.0650
O  0.4317  0.8511  0.3805
O  0.2342  0.8162  0.6184
O  0.2889  0.6050  0.4371
O  0.7111  0.3950  0.5629
O  0.0984  0.5160  0.3817
O  0.4765  0.6046  0.0612
O  0.9016  0.4840  0.6183
O  0.2293  0.5131  0.1208
O  0.7707  0.4869  0.8792
O  0.5235  0.3954  0.9388
O  0.8974  0.1835  0.1186
O  0.1877  0.0641  0.9350
O  0.1447  0.2714  0.0640
O  0.4369  0.1504  0.8778
O  0.7658  0.1838  0.3816
O  0.9596  0.2705  0.4355
O  0.6015  0.5128  0.3797
O  0.7322  0.5154  0.1177
O  0.2093  0.3958  0.5627
O  0.5683  0.1489  0.6195
O  0.0223  0.3956  0.9351
O  0.6884  0.0637  0.9380
O  0.8721  0.0629  0.5664
O  0.3974  0.1813  0.1099
O  0.6615  0.2743  0.0508
O  0.2579  0.1812  0.3898
O  0.0647  0.1500  0.6222
O  0.4615  0.2754  0.4495
O  0.9382  0.1487  0.8802
O  0.3772  0.0647  0.5609

Magnetization ... 0.000 μB per atom
DFT formation energy ... -3.01 eV per atom
Crystal system ... triclinic
Energy relative to the lowest polymorph listed for this composition ... 0.000 eV/atom
Total energy ... -9.105 eV/atom